[1]
Compound: Tm5Pb3
Source: Materials Project
Functional: r2SCAN
Structure: optimized geometry

The structure in POSCAR format:
```
Tm5Pb3
1.0
8.8665 0.0000 0.0000
-4.4333 7.6786 0.0000
0.0000 0.0000 6.5177
Tm Pb
10 6
Direct
0.0000 0.2364 0.2500
0.0000 0.7636 0.7500
0.2364 0.0000 0.2500
0.2364 0.2364 0.7500
0.3333 0.6667 0.0000
0.3333 0.6667 0.5000
0.6667 0.3333 0.0000
0.6667 0.3333 0.5000
0.7636 0.0000 0.7500
0.7636 0.7636 0.2500
0.0000 0.3939 0.7500
0.0000 0.6061 0.2500
0.3939 0.0000 0.7500
0.3939 0.3939 0.2500
0.6061 0.0000 0.2500
0.6061 0.6061 0.7500
```

Output
space group = P6_3/mcm, No. 193


[2]
Compound: CoPO4
Source: Materials Project
Functional: r2SCAN
Structure: optimized geometry

The structure in POSCAR format:
```
CoPO4
1.0
6.8668 3.9646 3.0505
-6.8668 3.9646 3.0505
0.0000 -7.9291 3.0505
Co P O
6 6 24
Direct
0.0107 0.7880 0.2012
0.2012 0.0107 0.7881
0.3008 0.4927 0.7083
0.4927 0.7083 0.3008
0.7083 0.3008 0.4927
0.7881 0.2012 0.0107
0.0478 0.6380 0.8318
0.1336 0.5393 0.3415
0.3415 0.1336 0.5393
0.5393 0.3415 0.1336
0.6380 0.8318 0.0478
0.8318 0.0478 0.6380
0.0313 0.6612 0.3427
0.1572 0.8386 0.8752
0.1708 0.5378 0.8420
0.2383 0.2509 0.5779
0.2410 0.9922 0.3361
0.2509 0.5779 0.2383
0.2595 0.5867 0.5373
0.3361 0.2410 0.9922
0.3427 0.0313 0.6612
0.5373 0.2595 0.5867
0.5378 0.8420 0.1708
0.5397 0.6364 0.8888
0.5779 0.2383 0.2509
0.5867 0.5373 0.2595
0.6307 0.9717 0.9708
0.6364 0.8888 0.5397
0.6612 0.3427 0.0313
0.8386 0.8752 0.1572
0.8420 0.1708 0.5378
0.8752 0.1572 0.8386
0.8888 0.5397 0.6364
0.9708 0.6307 0.9717
0.9717 0.9708 0.6307
0.9922 0.3361 0.2410
```

Output
space group = R3, No. 146


[3]
Compound: Ca2B2O5
Source: Materials Project
Functional: r2SCAN
Structure: optimized geometry

The structure in POSCAR format:
```
Ca2B2O5
1.0
3.5445 0.0000 0.0000
0.0000 6.3582 0.0000
-0.7516 0.0000 19.2722
Ca B O
8 8 20
Direct
0.2130 0.0505 0.2893
0.2130 0.4495 0.7893
0.2527 0.1933 0.5620
0.2527 0.3067 0.0620
0.7473 0.6933 0.9380
0.7473 0.8067 0.4380
0.7870 0.5505 0.2107
0.7870 0.9495 0.7107
0.3225 0.7481 0.0824
0.3225 0.7519 0.5824
0.3362 0.5336 0.3434
0.3362 0.9664 0.8434
0.6639 0.0336 0.1566
0.6639 0.4664 0.6566
0.6775 0.2481 0.4176
0.6775 0.2519 0.9176
0.2111 0.7339 0.3520
0.2111 0.7661 0.8520
0.2568 0.6925 0.0152
0.2568 0.8075 0.5152
0.2672 0.6092 0.1347
0.2672 0.8908 0.6347
0.2978 0.0764 0.7831
0.2978 0.4236 0.2831
0.4681 0.5484 0.5965
0.4681 0.9516 0.0965
0.5319 0.0484 0.9035
0.5319 0.4516 0.4035
0.7022 0.5764 0.7169
0.7022 0.9236 0.2169
0.7328 0.1092 0.3653
0.7328 0.3908 0.8653
0.7432 0.1925 0.4848
0.7432 0.3075 0.9848
0.7889 0.2339 0.1480
0.7889 0.2661 0.6480
```

Output
offset from the most stable computed form = 0.0001 eV per atom
space group = P2_1/c, No. 14


[4]
Compound: Yb3Pr
Source: Materials Project
Functional: r2SCAN
Structure: optimized geometry

The structure in POSCAR format:
```
Yb3Pr
1.0
7.9592 0.0000 0.0000
0.0000 7.9592 0.0000
0.0000 0.0000 7.9592
Yb Pr
12 4
Direct
0.0000 0.0000 0.0000
0.0000 0.5000 0.5000
0.2500 0.2500 0.2500
0.2500 0.2500 0.7500
0.2500 0.7500 0.2500
0.2500 0.7500 0.7500
0.5000 0.0000 0.5000
0.5000 0.5000 0.0000
0.7500 0.2500 0.2500
0.7500 0.2500 0.7500
0.7500 0.7500 0.2500
0.7500 0.7500 0.7500
0.0000 0.0000 0.5000
0.0000 0.5000 0.0000
0.5000 0.0000 0.0000
0.5000 0.5000 0.5000
```

Output
space group = Fm-3m, No. 225


[5]
Compound: Ta3Ga2
Source: Materials Project
Functional: r2SCAN
Structure: optimized geometry

The structure in POSCAR format:
```
Ta3Ga2
1.0
6.8588 0.0000 0.0000
0.0000 6.8588 0.0000
0.0000 0.0000 3.4965
Ta Ga
6 4
Direct
0.0000 0.0000 0.0000
0.1756 0.3244 0.5000
0.3244 0.8244 0.5000
0.5000 0.5000 0.0000
0.6756 0.1756 0.5000
0.8244 0.6756 0.5000
0.1256 0.6256 0.0000
0.3744 0.1256 0.0000
0.6256 0.8744 0.0000
0.8744 0.3744 0.0000
```

Output
space group = P4/mbm, No. 127


[6]
Compound: ErSiPt
Source: Materials Project
Functional: r2SCAN
Structure: optimized geometry

The structure in POSCAR format:
```
ErSiPt
1.0
6.9170 0.0000 0.0000
0.0000 4.2535 0.0000
0.0000 0.0000 7.3936
Er Si Pt
4 4 4
Direct
0.0031 0.2500 0.2012
0.4969 0.7500 0.7012
0.5031 0.2500 0.2988
0.9969 0.7500 0.7988
0.1875 0.2500 0.5878
0.3125 0.7500 0.0878
0.6875 0.2500 0.9122
0.8125 0.7500 0.4122
0.2001 0.7500 0.4153
0.2999 0.2500 0.9153
0.7001 0.7500 0.0847
0.7999 0.2500 0.5847
```

Output
space group = Pnma, No. 62


[7]
Compound: LuAl8Cu4
Source: Materials Project
Functional: r2SCAN
Structure: optimized geometry

The structure in POSCAR format:
```
LuAl8Cu4
1.0
-4.3531 4.3531 2.5262
4.3531 -4.3531 2.5262
4.3531 4.3531 -2.5262
Lu Al Cu
1 8 4
Direct
0.0000 0.0000 0.0000
0.0000 0.3476 0.3476
0.0000 0.6524 0.6524
0.2824 0.5000 0.7824
0.3476 0.0000 0.3476
0.5000 0.2824 0.7824
0.5000 0.7176 0.2176
0.6524 0.0000 0.6524
0.7176 0.5000 0.2176
0.0000 0.0000 0.5000
0.0000 0.5000 0.0000
0.5000 0.0000 0.0000
0.5000 0.5000 0.5000
```

Output
space group = I4/mmm, No. 139


[8]
Compound: LiMg3
Source: Materials Project
Functional: r2SCAN
Structure: optimized geometry

The structure in POSCAR format:
```
LiMg3
1.0
3.1699 0.0000 0.0000
0.0000 5.0499 0.0000
0.0000 0.0000 5.4097
Li Mg
1 3
Direct
0.0000 0.0000 0.0000
0.0000 0.5000 0.6664
0.5000 0.0000 0.5006
0.5000 0.5000 0.1618
```

Output
space group = Pmm2, No. 25


Number 1: calculated total energy -43.72 eV per atom, V 444 Å³/cell, E_form -0.6647 eV per atom. Number 2: calculated total energy -9.54 eV per atom, V 498 Å³/cell, E_form -1.8518 eV per atom. Number 3: calculated total energy -9.59 eV per atom, V 434 Å³/cell, E_form -3.0720 eV per atom. Number 4: calculated total energy -34.66 eV per atom, V 504 Å³/cell, E_form 0.0855 eV per atom. Number 5: calculated total energy -34.09 eV per atom, V 164 Å³/cell, E_form -0.3559 eV per atom. Number 6: calculated total energy -32.70 eV per atom, V 218 Å³/cell, E_form -1.3091 eV per atom. Number 7: calculated total energy -10.73 eV per atom, V 191 Å³/cell, E_form -0.3254 eV per atom. Number 8: calculated total energy -3.74 eV per atom, V 87 Å³/cell, E_form -0.0205 eV per atom.